(1)
# RbPO2F2 r²SCAN relaxed
data_RbPO2F2
_chemical_formula_sum 'Rb4 P4 O8 F8'
_symmetry_space_group_name_H-M 'P n m a'
_symmetry_Int_Tables_number 62
_cell_length_a 7.884
_cell_length_b 6.569
_cell_length_c 7.650
_cell_angle_alpha 90.00
_cell_angle_beta 90.00
_cell_angle_gamma 90.00
loop_
_symmetry_equiv_pos_as_xyz
'x,y,z'
'-x,-y,-z'
'-x+1/2,-y,z+1/2'
'x+1/2,y,-z+1/2'
'x+1/2,-y+1/2,-z+1/2'
'-x+1/2,y+1/2,z+1/2'
'-x,y+1/2,-z'
'x,-y+1/2,z'
loop_
_atom_site_label
_atom_site_fract_x
_atom_site_fract_y
_atom_site_fract_z
Rb1 0.135 0.250 0.144
P1 0.116 0.250 0.684
O1 0.117 0.054 0.777
F1 0.032 0.750 0.455
F2 0.234 0.750 0.047
# - E_form (eV per formula unit) = -16.2
# - mass density (kg/m3) = 3126

***

(2)
# PtO2F6 r²SCAN relaxed
data_PtO2F6
_chemical_formula_sum 'Pt8 O16 F48'
_symmetry_space_group_name_H-M 'I a -3'
_symmetry_Int_Tables_number 206
_symmetry_space_group_name_Hall '-I 2b 2c 3'
_cell_length_a 10.089
_cell_length_b 10.089
_cell_length_c 10.089
_cell_angle_alpha 90.00
_cell_angle_beta 90.00
_cell_angle_gamma 90.00
loop_
_atom_site_label
_atom_site_fract_x
_atom_site_fract_y
_atom_site_fract_z
Pt1 0.000 0.000 0.000
O1 0.216 0.216 0.216
F1 0.058 0.096 0.649
# - E_form (eV per formula unit) = -8.3
# - mass density (kg/m3) = 4412

***

(3)
# SO2F2 r²SCAN relaxed
data_SO2F2
_chemical_formula_sum 'S4 O8 F8'
_symmetry_space_group_name_H-M 'P 41 21 2'
_symmetry_Int_Tables_number 92
_cell_length_a 5.117
_cell_length_b 5.117
_cell_length_c 11.304
_cell_angle_alpha 90.00
_cell_angle_beta 90.00
_cell_angle_gamma 90.00
loop_
_symmetry_equiv_pos_as_xyz
'x,y,z'
'-y+1/2,x+1/2,z+1/4'
'-x,-y,z+1/2'
'y+1/2,-x+1/2,z+3/4'
'x+1/2,-y+1/2,-z+3/4'
'-y,-x,-z+1/2'
'-x+1/2,y+1/2,-z+1/4'
'y,x,-z'
loop_
_atom_site_label
_atom_site_fract_x
_atom_site_fract_y
_atom_site_fract_z
S1 0.080 0.080 0.000
O1 0.010 0.330 0.961
F1 0.007 0.118 0.405
# - E_form (eV per formula unit) = -8.0
# - mass density (kg/m3) = 2290

***

(4)
# S2O5F2 r²SCAN relaxed
data_S2O5F2
_chemical_formula_sum 'S8 O20 F8'
_symmetry_space_group_name_H-M 'P -4 21 c'
_symmetry_Int_Tables_number 114
_cell_length_a 7.494
_cell_length_b 7.494
_cell_length_c 9.249
_cell_angle_alpha 90.00
_cell_angle_beta 90.00
_cell_angle_gamma 90.00
loop_
_symmetry_equiv_pos_as_xyz
'x,y,z'
'y,-x,-z'
'-x,-y,z'
'-y,x,-z'
'x+1/2,-y+1/2,-z+1/2'
'y+1/2,x+1/2,z+1/2'
'-x+1/2,y+1/2,-z+1/2'
'-y+1/2,-x+1/2,z+1/2'
loop_
_atom_site_label
_atom_site_fract_x
_atom_site_fract_y
_atom_site_fract_z
S1 0.078 0.326 0.364
O1 0.000 0.500 0.282
O2 0.025 0.709 0.488
O3 0.114 0.205 0.253
F1 0.093 0.242 0.915
# - E_form (eV per formula unit) = -12.6
# - mass density (kg/m3) = 2329